Material: UH10Se2O14
Method: DFT, GGA-PBE
State: relaxed

**Calculated formation energy**: -1.551 eV per atom
**VASP energy**: -5.694 eV/atom
**SG**: No. 14

Unit cell a=8.348 b=11.177 c=13.949 alpha=90.00 beta=113.15 gamma=90.00
Atoms (fractional coordinates):
U1 0.042 0.200 0.173
U2 0.042 0.300 0.673
U3 0.958 0.700 0.327
U4 0.958 0.800 0.827
H1 0.159 0.050 0.400
H2 0.159 0.450 0.900
H3 0.272 0.518 0.008
H4 0.272 0.982 0.508
H5 0.328 0.201 0.049
H6 0.328 0.299 0.549
H7 0.333 0.590 0.775
H8 0.333 0.910 0.275
H9 0.348 0.527 0.898
H10 0.348 0.973 0.398
H11 0.381 0.738 0.594
H12 0.381 0.762 0.094
H13 0.461 0.658 0.879
H14 0.461 0.842 0.379
H15 0.485 0.638 0.382
H16 0.485 0.862 0.882
H17 0.490 0.119 0.871
H18 0.490 0.381 0.371
H19 0.494 0.200 0.981
H20 0.494 0.300 0.481
H21 0.506 0.700 0.519
H22 0.506 0.800 0.019
H23 0.510 0.619 0.629
H24 0.510 0.881 0.129
H25 0.515 0.138 0.118
H26 0.515 0.362 0.618
H27 0.539 0.158 0.621
H28 0.539 0.342 0.121
H29 0.619 0.238 0.906
H30 0.619 0.262 0.406
H31 0.652 0.027 0.602
H32 0.652 0.473 0.102
H33 0.667 0.090 0.725
H34 0.667 0.410 0.225
H35 0.672 0.701 0.451
H36 0.672 0.799 0.951
H37 0.728 0.018 0.492
H38 0.728 0.482 0.992
H39 0.841 0.550 0.100
H40 0.841 0.950 0.600
Se1 0.007 0.123 0.898
Se2 0.007 0.377 0.398
Se3 0.224 0.522 0.195
Se4 0.224 0.978 0.695
Se5 0.776 0.022 0.305
Se6 0.776 0.478 0.805
Se7 0.993 0.623 0.602
Se8 0.993 0.877 0.102
O1 0.043 0.579 0.207
O2 0.043 0.921 0.707
O3 0.076 0.520 0.416
O4 0.076 0.980 0.916
O5 0.102 0.185 0.824
O6 0.102 0.315 0.324
O7 0.103 0.193 0.014
O8 0.103 0.307 0.514
O9 0.174 0.739 0.890
O10 0.174 0.761 0.390
O11 0.176 0.119 0.652
O12 0.176 0.381 0.152
O13 0.207 0.636 0.652
O14 0.207 0.864 0.152
O15 0.254 0.132 0.236
O16 0.254 0.368 0.736
O17 0.263 0.599 0.106
O18 0.263 0.901 0.606
O19 0.280 0.029 0.448
O20 0.280 0.471 0.948
O21 0.392 0.520 0.312
O22 0.392 0.980 0.812
O23 0.418 0.577 0.849
O24 0.418 0.923 0.349
O25 0.457 0.205 0.067
O26 0.457 0.295 0.567
O27 0.487 0.699 0.594
O28 0.487 0.801 0.094
O29 0.513 0.199 0.906
O30 0.513 0.301 0.406
O31 0.543 0.705 0.433
O32 0.543 0.795 0.933
O33 0.582 0.077 0.651
O34 0.582 0.423 0.151
O35 0.608 0.020 0.188
O36 0.608 0.480 0.688
O37 0.720 0.529 0.052
O38 0.720 0.971 0.552
O39 0.737 0.099 0.394
O40 0.737 0.401 0.894
O41 0.746 0.632 0.264
O42 0.746 0.868 0.764
O43 0.793 0.136 0.848
O44 0.793 0.364 0.348
O45 0.824 0.619 0.848
O46 0.824 0.881 0.348
O47 0.826 0.239 0.610
O48 0.826 0.261 0.110
O49 0.897 0.693 0.486
O50 0.897 0.807 0.986
O51 0.898 0.685 0.676
O52 0.898 0.815 0.176
O53 0.924 0.020 0.084
O54 0.924 0.480 0.584
O55 0.957 0.079 0.293
O56 0.957 0.421 0.793

Material: UH5Se2O9
Method: DFT, GGA-PBE
State: relaxed

**Calculated formation energy**: -1.330 eV per atom
**VASP energy**: -5.660 eV/atom
**SG**: No. 14

Unit cell a=8.970 b=11.316 c=13.818 alpha=90.00 beta=128.63 gamma=90.00
Atoms (fractional coordinates):
U1 0.183 0.198 0.314
U2 0.183 0.302 0.814
U3 0.817 0.698 0.186
U4 0.817 0.802 0.686
H1 0.086 0.019 0.956
H2 0.086 0.481 0.456
H3 0.175 0.051 0.007
H4 0.175 0.449 0.507
H5 0.312 0.625 0.599
H6 0.312 0.875 0.099
H7 0.411 0.650 0.637
H8 0.411 0.850 0.137
H9 0.451 0.587 0.233
H10 0.451 0.913 0.733
H11 0.549 0.087 0.267
H12 0.549 0.413 0.767
H13 0.589 0.150 0.863
H14 0.589 0.350 0.363
H15 0.688 0.125 0.901
H16 0.688 0.375 0.401
H17 0.825 0.551 0.493
H18 0.825 0.949 0.993
H19 0.914 0.519 0.544
H20 0.914 0.981 0.044
Se1 0.185 0.513 0.205
Se2 0.185 0.987 0.705
Se3 0.299 0.629 0.901
Se4 0.299 0.871 0.401
Se5 0.701 0.129 0.599
Se6 0.701 0.371 0.099
Se7 0.815 0.013 0.295
Se8 0.815 0.487 0.795
O1 0.103 0.704 0.861
O2 0.103 0.796 0.361
O3 0.105 0.589 0.271
O4 0.105 0.911 0.771
O5 0.166 0.249 0.430
O6 0.166 0.251 0.930
O7 0.205 0.135 0.204
O8 0.205 0.365 0.704
O9 0.255 0.009 0.427
O10 0.255 0.491 0.927
O11 0.263 0.115 0.790
O12 0.263 0.385 0.290
O13 0.333 0.634 0.799
O14 0.333 0.866 0.299
O15 0.403 0.594 0.281
O16 0.403 0.906 0.781
O17 0.482 0.680 0.043
O18 0.482 0.820 0.543
O19 0.518 0.180 0.457
O20 0.518 0.320 0.957
O21 0.597 0.094 0.219
O22 0.597 0.406 0.719
O23 0.667 0.134 0.701
O24 0.667 0.366 0.201
O25 0.737 0.615 0.710
O26 0.737 0.885 0.210
O27 0.745 0.509 0.073
O28 0.745 0.991 0.573
O29 0.795 0.635 0.296
O30 0.795 0.865 0.796
O31 0.834 0.749 0.070
O32 0.834 0.751 0.570
O33 0.895 0.089 0.229
O34 0.895 0.411 0.729
O35 0.897 0.204 0.639
O36 0.897 0.296 0.139

Material: UH5Se2O10
Method: DFT, GGA-PBE
State: relaxed

**Calculated formation energy**: -1.068 eV per atom
**VASP energy**: -5.393 eV/atom
**SG**: No. 62

Unit cell a=12.608 b=11.897 c=8.190 alpha=90.00 beta=90.00 gamma=90.00
Atoms (fractional coordinates):
U1 0.247 0.250 0.193
U2 0.253 0.750 0.693
U3 0.747 0.250 0.307
U4 0.753 0.750 0.807
H1 0.020 0.527 0.341
H2 0.020 0.973 0.341
H3 0.030 0.750 0.374
H4 0.070 0.750 0.020
H5 0.190 0.250 0.737
H6 0.310 0.750 0.237
H7 0.430 0.250 0.520
H8 0.470 0.250 0.874
H9 0.480 0.027 0.841
H10 0.480 0.473 0.841
H11 0.520 0.527 0.159
H12 0.520 0.973 0.159
H13 0.530 0.750 0.126
H14 0.570 0.750 0.480
H15 0.690 0.250 0.763
H16 0.810 0.750 0.263
H17 0.930 0.250 0.980
H18 0.970 0.250 0.626
H19 0.980 0.027 0.659
H20 0.980 0.473 0.659
Se1 0.177 0.012 0.476
Se2 0.177 0.488 0.476
Se3 0.323 0.512 0.976
Se4 0.323 0.988 0.976
Se5 0.677 0.012 0.024
Se6 0.677 0.488 0.024
Se7 0.823 0.512 0.524
Se8 0.823 0.988 0.524
O1 0.098 0.519 0.307
O2 0.098 0.981 0.307
O3 0.105 0.042 0.637
O4 0.105 0.250 0.199
O5 0.105 0.458 0.637
O6 0.112 0.750 0.674
O7 0.242 0.097 0.009
O8 0.242 0.403 0.009
O9 0.247 0.617 0.908
O10 0.247 0.883 0.908
O11 0.253 0.117 0.408
O12 0.253 0.383 0.408
O13 0.258 0.597 0.509
O14 0.258 0.903 0.509
O15 0.388 0.250 0.174
O16 0.395 0.542 0.137
O17 0.395 0.750 0.699
O18 0.395 0.958 0.137
O19 0.402 0.019 0.807
O20 0.402 0.481 0.807
O21 0.598 0.519 0.193
O22 0.598 0.981 0.193
O23 0.605 0.042 0.863
O24 0.605 0.250 0.301
O25 0.605 0.458 0.863
O26 0.612 0.750 0.826
O27 0.742 0.097 0.491
O28 0.742 0.403 0.491
O29 0.747 0.617 0.592
O30 0.747 0.883 0.592
O31 0.753 0.117 0.092
O32 0.753 0.383 0.092
O33 0.758 0.597 0.991
O34 0.758 0.903 0.991
O35 0.888 0.250 0.326
O36 0.895 0.542 0.363
O37 0.895 0.750 0.801
O38 0.895 0.958 0.363
O39 0.902 0.019 0.693
O40 0.902 0.481 0.693